1.
{"formula": "PrTlPd", "functional": "PBE-GGA", "state": "optimized geometry", "lattice_angstrom": [[4.617, -7.997, 0.000], [4.617, 7.997, 0.000], [0.000, 0.000, 3.242]], "species": ["Pr", "Pd", "Pr", "Pd", "Tl", "Pd", "Tl", "Pr", "Tl"], "frac_coords": [[0.623, 0.000, 0.500], [0.333, 0.667, 0.000], [0.377, 0.377, 0.500], [0.667, 0.333, 0.000], [0.705, 0.705, 0.500], [0.000, 0.000, 0.500], [0.000, 0.295, 0.500], [0.000, 0.623, 0.500], [0.295, 0.000, 0.500]], "magmom_total_mub_per_fu": 0.0, "e_form_ev_per_atom": -0.0739, "dft_energy_ev_per_atom": -4.182, "mass_density_g_cm3": 9.40}

2.
{"formula": "MnCoGe", "functional": "PBE-GGA", "state": "optimized geometry", "lattice_angstrom": [[-3.510, 2.083, -0.283], [-0.029, -4.088, -0.159], [-0.528, -0.195, 5.113]], "species": ["Co", "Mn", "Co", "Ge", "Ge", "Mn"], "frac_coords": [[0.333, 0.667, 0.750], [0.000, 0.000, 0.000], [0.667, 0.333, 0.250], [0.333, 0.667, 0.250], [0.667, 0.333, 0.750], [0.000, 0.000, 0.500]], "magmom_total_mub_per_fu": 3.1, "e_form_ev_per_atom": -0.1909, "dft_energy_ev_per_atom": -7.155, "mass_density_g_cm3": 8.31}

3.
{"formula": "BaNaTbBiO6", "functional": "PBE-GGA", "state": "optimized geometry", "lattice_angstrom": [[-3.396, -4.792, 6.391], [7.127, -4.824, 0.170], [3.487, 5.359, 5.871]], "species": ["O", "O", "O", "O", "Na", "Bi", "O", "Na", "O", "Na", "O", "O", "Tb", "Tb", "Tb", "Ba", "O", "Na", "Ba", "O", "Ba", "O", "Tb", "O", "O", "O", "O", "O", "O", "Bi", "O", "O", "O", "Ba", "O", "O", "Bi", "Bi", "O", "O"], "frac_coords": [[0.285, 0.229, 0.508], [0.773, 0.493, 0.286], [0.227, 0.507, 0.286], [0.508, 0.282, 0.220], [0.500, 0.500, 0.000], [0.250, 0.750, 0.250], [0.227, 0.493, 0.714], [0.000, 0.500, 0.000], [0.785, 0.729, 0.992], [0.500, 0.000, 0.500], [0.285, 0.771, 0.492], [0.992, 0.782, 0.720], [0.250, 0.250, 0.250], [0.250, 0.750, 0.750], [0.750, 0.750, 0.250], [0.500, 0.500, 0.500], [0.215, 0.729, 0.008], [0.000, 0.000, 0.500], [0.500, 0.000, 0.000], [0.773, 0.507, 0.714], [0.000, 0.500, 0.500], [0.215, 0.271, 0.992], [0.750, 0.250, 0.750], [0.992, 0.218, 0.280], [0.008, 0.218, 0.720], [0.273, 0.993, 0.214], [0.715, 0.771, 0.508], [0.273, 0.007, 0.786], [0.785, 0.271, 0.008], [0.750, 0.750, 0.750], [0.008, 0.782, 0.280], [0.492, 0.718, 0.220], [0.727, 0.993, 0.786], [0.000, 0.000, 0.000], [0.508, 0.718, 0.780], [0.492, 0.282, 0.780], [0.250, 0.250, 0.750], [0.750, 0.250, 0.250], [0.715, 0.229, 0.492], [0.727, 0.007, 0.214]], "e_above_lowest_polymorph_mev_per_atom": 0, "magmom_total_mub_per_fu": 1.0, "e_form_ev_per_atom": -2.3552, "dft_energy_ev_per_atom": -6.088, "mass_density_g_cm3": 6.39}

4.
{"formula": "KSnPO5", "functional": "PBE-GGA", "state": "optimized geometry", "lattice_angstrom": [[6.636, 0.000, 0.000], [0.000, 10.901, 0.000], [0.000, 0.000, 13.379]], "species": ["O", "O", "K", "O", "P", "O", "O", "O", "P", "K", "P", "O", "K", "O", "O", "O", "O", "O", "Sn", "K", "K", "K", "O", "Sn", "O", "K", "O", "O", "O", "P", "Sn", "O", "O", "O", "O", "O", "O", "O", "O", "O", "O", "Sn", "O", "P", "O", "Sn", "K", "O", "O", "O", "O", "Sn", "O", "O", "Sn", "O", "O", "O", "P", "O", "O", "P", "Sn", "P"], "frac_coords": [[0.986, 0.364, 0.229], [0.013, 0.863, 0.987], [0.776, 0.699, 0.375], [0.479, 0.636, 0.515], [0.502, 0.499, 0.176], [0.031, 0.607, 0.749], [0.021, 0.636, 0.015], [0.706, 0.230, 0.091], [0.842, 0.252, 0.999], [0.724, 0.699, 0.875], [0.158, 0.752, 0.001], [0.702, 0.274, 0.908], [0.806, 0.940, 0.609], [0.472, 0.885, 0.755], [0.014, 0.864, 0.771], [0.818, 0.976, 0.394], [0.979, 0.136, 0.985], [0.815, 0.522, 0.607], [0.998, 0.502, 0.128], [0.276, 0.199, 0.125], [0.306, 0.440, 0.891], [0.224, 0.199, 0.625], [0.486, 0.864, 0.271], [0.245, 0.750, 0.748], [0.034, 0.626, 0.237], [0.694, 0.940, 0.109], [0.487, 0.863, 0.487], [0.298, 0.774, 0.092], [0.182, 0.476, 0.606], [0.998, 0.499, 0.676], [0.755, 0.250, 0.252], [0.685, 0.522, 0.107], [0.521, 0.136, 0.485], [0.969, 0.107, 0.251], [0.966, 0.126, 0.763], [0.318, 0.476, 0.106], [0.315, 0.022, 0.893], [0.513, 0.363, 0.513], [0.987, 0.363, 0.013], [0.528, 0.385, 0.245], [0.028, 0.885, 0.255], [0.002, 0.002, 0.872], [0.466, 0.626, 0.737], [0.342, 0.752, 0.501], [0.294, 0.730, 0.909], [0.498, 0.002, 0.372], [0.194, 0.440, 0.391], [0.206, 0.730, 0.409], [0.531, 0.107, 0.751], [0.682, 0.976, 0.894], [0.514, 0.364, 0.729], [0.745, 0.250, 0.752], [0.794, 0.230, 0.591], [0.202, 0.774, 0.592], [0.502, 0.502, 0.628], [0.469, 0.607, 0.249], [0.798, 0.274, 0.408], [0.534, 0.126, 0.263], [0.658, 0.252, 0.499], [0.972, 0.385, 0.745], [0.185, 0.022, 0.393], [0.498, 0.999, 0.824], [0.255, 0.750, 0.248], [0.002, 0.999, 0.324]], "magmom_total_mub_per_fu": 0.0, "e_form_ev_per_atom": -2.5061, "dft_energy_ev_per_atom": -6.486, "mass_density_g_cm3": 3.69}